A plane-wave DFT calculation with r²SCAN was carried out for crystalline Pr2HfS5 at its relaxed geometry.

Results
Total magnetization = 0.00 μB per formula unit
Raw total energy = -20.199 eV per atom
Density = 5.95 g/cm3
ΔE_f = -2.182 eV per atom

extended XYZ file:
```
32
Lattice="7.402 0.000 0.000 0.000 8.062 0.000 0.000 0.000 11.602" Properties=species:S:1:pos:R:3 pbc="T T T"
Pr 4.021 0.004 3.778
Pr 7.082 4.027 9.579
Pr 3.381 4.035 7.824
Pr 0.320 8.058 2.023
Pr 3.381 8.058 7.824
Pr 0.320 4.035 2.023
Pr 4.021 4.027 3.778
Pr 7.082 0.004 9.579
Hf 0.531 6.047 5.715
Hf 3.169 6.047 11.516
Hf 6.870 2.016 5.887
Hf 4.232 2.016 0.086
S 6.155 4.305 6.732
S 4.948 7.788 0.931
S 1.247 0.274 4.870
S 2.454 3.757 10.671
S 1.247 3.757 4.870
S 2.454 0.274 10.671
S 6.155 7.788 6.732
S 4.948 4.305 0.931
S 6.300 6.047 3.651
S 4.803 6.047 9.452
S 1.102 2.016 7.951
S 2.599 2.016 2.150
S 3.258 6.047 5.739
S 0.443 6.047 11.540
S 4.144 2.016 5.863
S 6.959 2.016 0.062
S 1.257 6.047 8.178
S 2.444 6.047 2.377
S 6.145 2.016 3.424
S 4.958 2.016 9.225
```

***

A plane-wave DFT calculation with r²SCAN was carried out for crystalline YbHg2 at its relaxed geometry.

Results
Total magnetization = 0.00 μB per formula unit
Raw total energy = -45.494 eV per atom
Density = 13.80 g/cm3
ΔE_f = -0.406 eV per atom

extended XYZ file:
```
3
Lattice="2.429 -4.208 0.000 2.429 4.208 0.000 0.000 0.000 3.379" Properties=species:S:1:pos:R:3 pbc="T T T"
Yb 0.000 0.000 0.000
Hg 2.429 1.403 1.689
Hg 2.429 -1.403 1.689
```

***

A plane-wave DFT calculation with r²SCAN was carried out for crystalline PrSiP3 at its relaxed geometry.

Results
Total magnetization = 0.00 μB per formula unit
Raw total energy = -13.842 eV per atom
Density = 4.04 g/cm3
ΔE_f = -0.805 eV per atom

extended XYZ file:
```
40
Lattice="-1.633 -0.992 5.404 -4.242 -3.609 -1.944 16.162 -19.681 1.271" Properties=species:S:1:pos:R:3 pbc="T T T"
Pr 3.154 -10.713 3.587
Pr 7.110 -13.582 1.217
Pr 10.152 -21.674 0.650
Pr 0.112 -2.622 4.154
Pr 5.967 -8.243 1.845
Pr 4.301 -16.050 2.949
Pr 11.318 -20.208 4.306
Pr -1.050 -4.086 0.488
Si 2.316 -7.719 1.331
Si 7.687 -16.736 4.339
Si 11.225 -16.657 5.422
Si -1.222 -7.798 0.248
Si 2.843 -6.969 4.653
Si 7.168 -17.480 0.991
Si 10.605 -17.279 2.067
Si -0.595 -7.171 3.578
P 3.828 -13.196 1.516
P 5.781 -11.497 5.457
P 11.663 -23.048 5.115
P -2.054 -1.646 1.859
P 6.418 -11.106 3.309
P 4.488 -12.800 -0.625
P -1.401 -1.242 -0.283
P 12.306 -22.665 2.966
P 4.695 -8.131 4.508
P 5.580 -16.158 0.262
P 11.633 -19.142 1.543
P -1.358 -5.147 3.226
P 3.409 -9.545 0.823
P 6.864 -14.745 3.952
P 8.793 -21.482 3.299
P 1.480 -2.809 1.477
P 3.855 -6.115 1.404
P 6.517 -18.115 3.045
P 9.727 -17.637 4.103
P 0.645 -6.594 0.346
P 1.446 -8.116 3.361
P 8.919 -16.118 1.111
P 12.275 -15.817 2.180
P -1.910 -8.418 2.292
```

***

A plane-wave DFT calculation with r²SCAN was carried out for crystalline K5Bi4 at its relaxed geometry.

Results
Total magnetization = 0.00 μB per formula unit
Raw total energy = -29.829 eV per atom
Density = 4.44 g/cm3
ΔE_f = -0.485 eV per atom

extended XYZ file:
```
9
Lattice="2.792 6.341 0.003 -2.792 6.341 0.003 0.000 4.222 10.895" Properties=species:S:1:pos:R:3 pbc="T T T"
K 0.000 13.113 4.231
K 0.000 3.792 6.672
K 0.000 3.799 1.815
K 0.000 13.106 9.087
K 0.000 0.000 0.000
Bi 0.000 9.388 4.273
Bi 0.000 7.517 6.630
Bi 0.000 7.625 1.867
Bi 0.000 9.280 9.035
```

***

A plane-wave DFT calculation with r²SCAN was carried out for crystalline V4O3F9 at its relaxed geometry.

Results
Total magnetization = 5.00 μB per formula unit
ΔE to the lowest computed polymorph = 0.43 eV per formula unit
Raw total energy = -9.418 eV per atom
Density = 3.57 g/cm3
ΔE_f = -3.017 eV per atom

extended XYZ file:
```
16
Lattice="-1.527 2.697 -3.992 -4.249 1.572 2.758 4.107 5.661 2.257" Properties=species:S:1:pos:R:3 pbc="T T T"
V -0.919 5.083 0.503
V -2.969 2.164 -0.383
V -3.681 7.089 -0.117
V 2.494 8.254 -1.526
O -3.614 2.308 1.106
O -2.171 6.210 0.559
O 1.940 7.607 -0.138
F -1.333 6.134 3.973
F -1.421 4.139 2.110
F -1.283 1.391 0.116
F 0.509 3.695 0.334
F 0.431 6.057 1.500
F -2.014 3.832 -0.536
F -0.334 8.568 0.853
F -0.196 5.803 -1.150
F -4.569 5.377 -0.254
```

***

A plane-wave DFT calculation with r²SCAN was carried out for crystalline Co21B6Mo2 at its relaxed geometry.

Results
Total magnetization = 24.88 μB per formula unit
Raw total energy = -13.033 eV per atom
Density = 8.81 g/cm3
ΔE_f = -0.132 eV per atom

extended XYZ file:
```
29
Lattice="0.000 5.203 5.203 5.203 0.000 5.203 5.203 5.203 0.000" Properties=species:S:1:pos:R:3 pbc="T T T"
Co 5.203 5.203 0.000
Co 3.975 3.975 6.431
Co 3.975 6.431 3.975
Co 6.431 3.975 3.975
Co 6.431 6.431 6.431
Co 6.431 6.431 3.975
Co 6.431 3.975 6.431
Co 3.975 6.431 6.431
Co 3.975 3.975 3.975
Co 1.782 1.782 0.000
Co 1.782 5.203 3.421
Co 5.203 1.782 3.421
Co 1.782 3.421 5.203
Co 1.782 0.000 1.782
Co 5.203 3.421 1.782
Co 3.421 1.782 5.203
Co 3.421 5.203 1.782
Co 0.000 1.782 1.782
Co 3.421 3.421 0.000
Co 3.421 0.000 3.421
Co 0.000 3.421 3.421
B 5.203 5.203 7.546
B 5.203 2.860 5.203
B 2.860 5.203 5.203
B 5.203 5.203 2.860
B 5.203 7.546 5.203
B 7.546 5.203 5.203
Mo 7.805 7.805 7.805
Mo 2.602 2.602 2.602
```

***

A plane-wave DFT calculation with r²SCAN was carried out for crystalline PrSiPd at its relaxed geometry.

Results
Total magnetization = 0.00 μB per formula unit
Raw total energy = -21.345 eV per atom
Density = 7.23 g/cm3
ΔE_f = -0.966 eV per atom

extended XYZ file:
```
24
Lattice="5.889 0.000 0.000 0.000 7.890 0.024 0.000 0.361 10.893" Properties=species:S:1:pos:R:3 pbc="T T T"
Pr 3.723 2.709 4.042
Pr 0.779 1.597 6.863
Pr 2.166 5.542 6.875
Pr 5.111 6.654 4.054
Pr 0.802 3.733 1.561
Pr 3.747 0.574 9.345
Pr 5.087 4.519 9.356
Pr 2.142 7.678 1.573
Si 3.720 0.481 6.291
Si 0.775 3.825 4.614
Si 2.169 7.770 4.626
Si 5.114 4.426 6.303
Si 5.059 1.047 1.551
Si 2.114 3.259 9.354
Si 0.831 7.205 9.366
Si 3.776 4.992 1.563
Pd 5.300 6.631 0.590
Pd 2.355 5.566 10.339
Pd 0.589 1.621 10.327
Pd 3.534 2.686 0.578
Pd 5.247 6.722 7.309
Pd 2.303 5.474 3.621
Pd 0.642 1.529 3.609
Pd 3.587 2.777 7.297
```

***

A plane-wave DFT calculation with r²SCAN was carried out for crystalline SrSn2Au2 at its relaxed geometry.

Results
Total magnetization = 0.00 μB per formula unit
Raw total energy = -33.747 eV per atom
Density = 9.50 g/cm3
ΔE_f = -0.586 eV per atom

extended XYZ file:
```
10
Lattice="-3.482 0.469 -3.104 -2.896 -2.270 2.905 -2.957 9.945 4.822" Properties=species:S:1:pos:R:3 pbc="T T T"
Sr -2.222 1.468 2.714
Sr -3.924 7.577 2.008
Sn 0.000 0.000 0.000
Sn -3.189 -0.900 -0.099
Sn -3.307 5.118 4.484
Sn -2.839 3.927 0.238
Au -1.479 4.973 2.411
Au -4.667 4.072 2.312
Au -3.999 7.445 5.612
Au -2.147 1.600 -0.890
```

***

A plane-wave DFT calculation with r²SCAN was carried out for crystalline Mg3Zr at its relaxed geometry.

Results
Total magnetization = 0.04 μB per formula unit
Raw total energy = -8.761 eV per atom
Density = 3.11 g/cm3
ΔE_f = 0.054 eV per atom

extended XYZ file:
```
4
Lattice="4.442 0.000 0.000 0.000 4.442 0.000 0.000 0.000 4.442" Properties=species:S:1:pos:R:3 pbc="T T T"
Mg 2.221 2.221 0.000
Mg 2.221 0.000 2.221
Mg 0.000 2.221 2.221
Zr 0.000 0.000 0.000
```

***

A plane-wave DFT calculation with r²SCAN was carried out for crystalline Pr2CdPd2 at its relaxed geometry.

Results
Total magnetization = 0.00 μB per formula unit
Raw total energy = -25.714 eV per atom
Density = 8.36 g/cm3
ΔE_f = -0.747 eV per atom

extended XYZ file:
```
10
Lattice="3.944 0.000 0.000 0.000 7.819 0.000 0.000 0.000 7.819" Properties=species:S:1:pos:R:3 pbc="T T T"
Pr 1.972 6.445 2.535
Pr 1.972 5.284 6.445
Pr 1.972 2.535 1.374
Pr 1.972 1.374 5.284
Cd 0.000 0.000 0.000
Cd 0.000 3.910 3.910
Pd 0.000 0.986 2.923
Pd 0.000 2.923 6.833
Pd 0.000 4.896 0.986
Pd 0.000 6.833 4.896
```

***

A plane-wave DFT calculation with r²SCAN was carried out for crystalline Pm3Gd at its relaxed geometry.

Results
Total magnetization = 7.63 μB per formula unit
Raw total energy = -32.961 eV per atom
Density = 7.22 g/cm3
ΔE_f = 0.044 eV per atom

extended XYZ file:
```
4
Lattice="5.146 0.000 0.000 0.000 5.146 0.000 0.000 0.000 5.146" Properties=species:S:1:pos:R:3 pbc="T T T"
Pm 2.573 0.000 2.573
Pm 0.000 2.573 2.573
Pm 2.573 2.573 0.000
Gd 0.000 0.000 0.000
```

***

A plane-wave DFT calculation with r²SCAN was carried out for crystalline K2PbO2 at its relaxed geometry.

Results
Total magnetization = 0.00 μB per formula unit
Raw total energy = -17.472 eV per atom
Density = 4.69 g/cm3
ΔE_f = -1.419 eV per atom

extended XYZ file:
```
20
Lattice="-7.139 -1.638 0.204 -2.119 -6.605 2.879 -4.167 3.867 8.198" Properties=species:S:1:pos:R:3 pbc="T T T"
K -4.318 -0.277 4.887
K -3.250 -5.588 4.111
K -11.291 -1.934 8.588
K -10.175 1.211 7.170
K -5.799 -3.305 2.498
K -2.135 -2.443 2.694
K -7.626 -1.072 8.784
K -9.107 -4.100 6.395
Pb -6.828 -6.668 3.924
Pb -5.624 -3.393 6.019
Pb -7.802 -0.984 5.263
Pb -6.597 2.291 7.358
O -5.281 -6.063 2.452
O -9.345 -1.450 6.653
O -8.453 -6.654 2.570
O -8.144 1.686 8.830
O -4.972 2.277 8.712
O -4.081 -2.927 4.629
O -7.377 -3.089 4.654
O -6.049 -1.288 6.628
```

***

A plane-wave DFT calculation with r²SCAN was carried out for crystalline Ta2MoIr at its relaxed geometry.

Results
Total magnetization = 0.00 μB per formula unit
Raw total energy = -44.344 eV per atom
Density = 16.52 g/cm3
ΔE_f = -0.441 eV per atom

extended XYZ file:
```
4
Lattice="0.741 2.107 3.930 -3.368 0.480 2.977 0.039 -2.358 3.856" Properties=species:S:1:pos:R:3 pbc="T T T"
Ta -0.647 0.057 2.691
Ta -1.941 0.171 8.073
Mo 0.000 0.000 0.000
Ir -1.294 0.114 5.382
```

***

A plane-wave DFT calculation with r²SCAN was carried out for crystalline AcZn3 at its relaxed geometry.

Results
Total magnetization = 0.00 μB per formula unit
Raw total energy = -24.113 eV per atom
Density = 7.64 g/cm3
ΔE_f = -0.270 eV per atom

extended XYZ file:
```
8
Lattice="7.059 0.000 0.000 -3.530 6.114 0.000 0.000 0.000 4.261" Properties=species:S:1:pos:R:3 pbc="T T T"
Ac 0.000 4.076 3.196
Ac 3.530 2.038 1.065
Zn 0.000 1.543 1.065
Zn 2.194 5.342 1.065
Zn -2.194 5.342 1.065
Zn 3.530 4.571 3.196
Zn 1.336 0.771 3.196
Zn 5.723 0.771 3.196
```

***

A plane-wave DFT calculation with r²SCAN was carried out for crystalline CaB2H8O8 at its relaxed geometry.

Results
Total magnetization = 0.00 μB per formula unit
Raw total energy = -6.849 eV per atom
Density = 2.29 g/cm3
ΔE_f = -1.736 eV per atom

extended XYZ file:
```
38
Lattice="5.640 0.009 -0.011 2.437 7.255 -0.052 2.305 2.795 6.981" Properties=species:S:1:pos:R:3 pbc="T T T"
Ca 3.313 3.996 5.740
Ca 7.068 6.063 1.179
B 6.473 2.384 5.326
B 3.908 7.674 1.593
B 4.005 3.892 1.971
B 6.376 6.167 4.947
H 3.341 1.174 2.046
H 7.040 8.885 4.872
H 6.162 4.106 6.431
H 4.219 5.953 0.488
H 7.116 3.530 3.778
H 3.266 6.529 3.141
H 4.466 7.989 5.427
H 5.916 2.070 1.492
H 4.718 2.365 3.096
H 5.663 7.694 3.823
H 5.181 4.026 0.306
H 5.201 6.032 6.613
H 5.629 5.670 3.190
H 4.752 4.389 3.729
H 8.232 6.882 5.474
H 2.150 3.177 1.445
O 5.084 2.495 4.860
O 5.297 7.564 2.059
O 6.683 3.278 6.522
O 3.699 6.781 0.397
O 1.806 2.770 4.311
O 8.576 7.289 2.608
O 1.159 1.774 1.159
O 9.222 8.285 5.759
O 4.400 2.488 2.174
O 5.981 7.571 4.745
O 5.336 5.492 5.801
O 5.046 4.566 1.117
O 3.928 4.605 3.262
O 6.453 5.454 3.656
O 2.709 3.977 1.282
O 7.673 6.082 5.636
```

***

A plane-wave DFT calculation with r²SCAN was carried out for crystalline ScCu3 at its relaxed geometry.

Results
Total magnetization = 0.00 μB per formula unit
Raw total energy = -11.130 eV per atom
Density = 7.03 g/cm3
ΔE_f = -0.146 eV per atom

extended XYZ file:
```
4
Lattice="-1.941 1.941 3.690 1.941 -1.941 3.690 1.941 1.941 -3.690" Properties=species:S:1:pos:R:3 pbc="T T T"
Sc 0.000 0.000 0.000
Cu 0.000 1.941 1.845
Cu 1.941 0.000 1.845
Cu 0.000 0.000 3.690
```

***

A plane-wave DFT calculation with r²SCAN was carried out for crystalline GdFe4P12 at its relaxed geometry.

Results
Total magnetization = 6.29 μB per formula unit
Raw total energy = -12.821 eV per atom
Density = 5.36 g/cm3
ΔE_f = -0.523 eV per atom

extended XYZ file:
```
17
Lattice="2.841 -4.292 4.314 4.080 5.249 -0.949 -5.855 2.139 2.499" Properties=species:S:1:pos:R:3 pbc="T T T"
Gd 0.000 0.000 0.000
Fe 0.533 1.548 2.932
Fe 1.420 -2.146 2.157
Fe 2.040 2.625 -0.475
Fe -2.927 1.069 1.249
P 2.144 0.814 4.295
P -1.078 2.282 1.568
P -1.602 4.460 2.025
P 2.667 -1.364 3.838
P -1.108 1.650 4.444
P 2.174 1.446 1.419
P 4.214 1.728 2.411
P -3.148 1.368 3.452
P 1.090 3.712 2.956
P -0.025 -0.615 2.907
P 1.979 4.346 0.948
P -0.913 -1.250 4.915
```

***

A plane-wave DFT calculation with r²SCAN was carried out for crystalline Mn2SnPd3 at its relaxed geometry.

Results
Total magnetization = 4.29 μB per formula unit
Raw total energy = -21.057 eV per atom
Density = 9.50 g/cm3
ΔE_f = -0.558 eV per atom

extended XYZ file:
```
12
Lattice="2.240 -3.879 0.000 2.240 3.879 0.000 0.000 0.000 11.016" Properties=species:S:1:pos:R:3 pbc="T T T"
Mn 0.000 0.000 5.508
Mn 2.240 1.293 1.749
Mn 2.240 -1.293 9.266
Mn 0.000 0.000 0.000
Sn 2.240 1.293 7.356
Sn 2.240 -1.293 3.660
Pd 2.240 1.293 4.567
Pd 2.240 -1.293 0.910
Pd 2.240 -3.879 8.311
Pd 2.240 3.879 2.705
Pd 2.240 1.293 10.106
Pd 2.240 -1.293 6.449
```